Below is a relaxed structure of KMg30BO31, with properties calculated at the PBE level.

Output
- excess energy over the best structure of this formula in the dataset (kcal/mol of atoms) = 0.00
- ρ (g/cm³) = 3.34
- total moment (μB/atom) = 0.000

Cell: 8.426 8.585 8.775 Å, 90.00 90.00 90.00°
Sites, in units of the cell vectors:
Mg 0.747 0.748 0.500
Mg 0.000 0.499 0.500
Mg 0.245 0.256 0.000
Mg 0.253 0.748 0.500
Mg 0.000 0.250 0.748
Mg 0.248 0.251 0.500
Mg 0.257 0.000 0.262
Mg 0.500 0.248 0.737
Mg 0.000 0.001 0.500
Mg 0.500 0.754 0.244
Mg 0.000 0.748 0.260
Mg 0.500 0.248 0.263
Mg 0.743 0.000 0.262
Mg 0.733 0.741 0.000
Mg 0.000 0.250 0.252
Mg 0.500 0.997 0.500
Mg 0.750 0.499 0.750
Mg 0.257 0.000 0.738
Mg 0.755 0.256 0.000
Mg 0.743 0.000 0.738
Mg 0.752 0.251 0.500
Mg 0.000 0.748 0.740
Mg 0.500 0.754 0.756
Mg 0.250 0.499 0.750
Mg 0.750 0.499 0.250
Mg 0.000 0.507 0.000
Mg 0.250 0.499 0.250
Mg 0.267 0.741 0.000
Mg 0.500 0.494 0.000
Mg 0.500 0.501 0.500
O 0.000 0.499 0.255
O 0.500 0.003 0.728
O 0.750 0.000 0.500
O 0.500 0.235 0.000
O 0.251 0.499 0.500
O 0.750 0.247 0.248
O 0.250 0.247 0.248
O 0.500 0.003 0.272
O 0.000 0.267 0.000
O 0.500 0.745 0.500
O 0.252 0.752 0.752
O 0.748 0.752 0.248
O 0.746 0.493 0.000
O 0.254 0.493 0.000
O 0.500 0.254 0.500
O 0.500 0.493 0.250
O 0.749 0.499 0.500
O 0.750 0.247 0.752
O 0.748 0.752 0.752
O 0.000 0.000 0.271
O 0.500 0.723 0.000
O 0.339 0.008 0.000
O 0.252 0.752 0.248
O 0.000 0.499 0.745
O 0.250 0.247 0.752
O 0.000 0.254 0.500
O 0.000 0.745 0.500
O 0.000 0.000 0.729
O 0.250 0.000 0.500
O 0.500 0.493 0.750
O 0.661 0.008 0.000
K 0.000 0.986 0.000
B 0.500 0.064 0.000